Here is a relaxed structure of Na3MnS2O8F2 from the Materials Project. Energies are from PBE+U.

a b c (Å): 9.1934 13.9179 6.7882
angles (deg): 90.00 90.00 90.00
Space group Pbcn (No. 60)
Symmetry-distinct sites (fractional):
1 Na 0.0000 0.0611 0.2500 [4 per cell]
2 Na 0.1637 0.4060 0.0312 [8 per cell]
3 Mn 0.0000 0.1931 0.7500 [4 per cell]
4 S 0.1910 0.3543 0.5187 [8 per cell]
5 O 0.0543 0.2950 0.5629 [8 per cell]
6 O 0.1381 0.4306 0.3848 [8 per cell]
7 O 0.2038 0.2104 0.9192 [8 per cell]
8 O 0.2469 0.1056 0.2002 [8 per cell]
9 F 0.0755 0.0936 0.5837 [8 per cell]

Summary:
energy of formation: -219.82 kJ per mole of atoms
MP2020-corrected energy: -6.329 eV per atom

***

Here is a relaxed structure of Na3Ti2Mn3Si4O16F2 from the Materials Project. Energies are from PBE+U.

a b c (Å): 10.7558 9.7939 14.8260
angles (deg): 90.00 116.34 90.00
Space group P2_1/c (No. 14)
Symmetry-distinct sites (fractional):
1 Na 0.0028 0.1247 0.0792 [4 per cell]
2 Na 0.2112 0.6077 0.0101 [4 per cell]
3 Na 0.4929 0.6192 0.9194 [4 per cell]
4 Ti 0.0270 0.0983 0.7478 [4 per cell]
5 Ti 0.4840 0.6059 0.2677 [4 per cell]
6 Mn 0.2439 0.6277 0.6795 [4 per cell]
7 Mn 0.2556 0.1341 0.3199 [4 per cell]
8 Mn 0.2900 0.1135 0.9866 [4 per cell]
9 Si 0.0292 0.1655 0.4149 [4 per cell]
10 Si 0.2353 0.6687 0.3572 [4 per cell]
11 Si 0.2615 0.1583 0.6439 [4 per cell]
12 Si 0.4645 0.6638 0.5857 [4 per cell]
13 O 0.0116 0.5193 0.1449 [4 per cell]
14 O 0.0954 0.7404 0.8324 [4 per cell]
15 O 0.0979 0.7463 0.0785 [4 per cell]
16 O 0.1059 0.5199 0.7241 [4 per cell]
17 O 0.1142 0.2405 0.8678 [4 per cell]
18 O 0.1420 0.1219 0.5297 [4 per cell]
19 O 0.1853 0.2225 0.7089 [4 per cell]
20 O 0.1937 0.5063 0.3491 [4 per cell]
21 O 0.3243 0.7211 0.2992 [4 per cell]
22 O 0.3278 0.6975 0.4794 [4 per cell]
23 O 0.3401 0.0130 0.6868 [4 per cell]
24 O 0.3692 0.2360 0.1276 [4 per cell]
25 O 0.3852 0.0287 0.2631 [4 per cell]
26 O 0.4002 0.2273 0.9222 [4 per cell]
27 O 0.4271 0.7413 0.6691 [4 per cell]
28 O 0.4707 0.0022 0.1033 [4 per cell]
29 F 0.1652 0.0146 0.0433 [4 per cell]
30 F 0.3322 0.0080 0.4418 [4 per cell]

Summary:
energy of formation: -284.53 kJ per mole of atoms
MP2020-corrected energy: -8.014 eV per atom